This record from the Materials Project describes MgAl2O4 after structural relaxation. The functional is PBE-GGA. Values from VASP.

```
&SYSTEM
  ibrav = 0, nat = 28, ntyp = 3
/
ATOMIC_SPECIES
Mg 24.30 Mg.upf
Al 26.98 Al.upf
O 16.00 O.upf
ATOMIC_POSITIONS angstrom
Mg -1.375 -2.480 6.433
Mg 3.125 4.507 6.914
Mg -0.378 1.693 4.275
Mg 2.128 0.334 9.071
Al 2.042 1.883 6.782
Al -0.291 0.143 6.564
Al 3.126 0.826 11.686
Al -1.375 1.200 1.661
Al 0.806 4.317 4.734
Al 0.944 -2.290 8.612
Al 2.009 3.437 9.793
Al -0.258 -1.410 3.553
O 1.208 0.793 5.477
O 0.542 1.234 7.869
O -0.521 -4.477 6.668
O 2.272 6.503 6.678
O 2.770 2.461 8.408
O -1.020 -0.435 4.939
O 2.583 4.860 4.687
O -0.832 -2.834 8.659
O 1.459 2.734 3.781
O 0.291 -0.708 9.566
O -0.639 -3.088 4.485
O 2.389 5.114 8.861
O 1.049 3.540 6.531
O 0.702 -1.514 6.815
O 1.669 1.788 10.822
O 0.082 0.239 2.525
CELL_PARAMETERS angstrom
-2.515 1.000 0.772
-0.229 -5.703 6.644
4.495 6.729 5.930
```

Properties
ρ in g cm⁻³: 3.8
Formation energy from the elements in eV per atom: -3.275